A plane-wave DFT calculation with PBE with a Hubbard U was carried out for a relaxed structure of KLiWO3.

Structure (POSCAR):
```
KLiWO3
1.0
-1.0982 1.7774 3.6853
-4.0851 0.4942 -1.0072
-0.4013 -4.0089 1.3517
O Li K W
3 1 1 1
Cartesian
-0.2262 -1.8978 0.6630
-2.5337 -3.6937 0.8446
-1.0041 -3.0365 3.2478
-3.8557 0.5425 2.3059
-2.4531 -1.2977 1.9163
-0.5372 -3.8218 1.3871
```

Values from the calculation:
Symmetry: Cm
Energy above the lowest structure with this stoichiometry, eV/atom: 0.000
Crystal system: monoclinic
Energy of formation, eV per atom: -1.7267
Total energy, eV/atom: -5.7804